Record 1
This record from the Materials Project database describes a relaxed structure of EuHgPb. The functional is PBE-GGA.

abc: 5.1026 5.1026 8.0645
angles: 90.00 90.00 120.00
Last column: nearest neighbours and their distance in Å.
Fractional positions:
Pb 0.6667 0.3333 0.9632  4 Hg 3.04-3.28
Pb 0.3333 0.6667 0.4632  4 Hg 3.04-3.28
Eu 0.0000 0.0000 0.2498  3 Hg 3.33, 3 Pb 3.41
Eu 0.0000 0.0000 0.7498  3 Hg 3.33, 3 Pb 3.41
Hg 0.3333 0.6667 0.0570  4 Pb 3.04-3.28, 3 Eu 3.33
Hg 0.6667 0.3333 0.5570  4 Pb 3.04-3.28, 3 Eu 3.33

=====

Record 2
This record from the Materials Project database describes a relaxed structure of DyEr. The functional is PBE-GGA.

abc: 3.5835 3.5835 5.6813
angles: 90.00 90.00 120.00
Last column: nearest neighbours and their distance in Å.
Fractional positions:
Er 0.3333 0.6667 0.0000  6 Dy 3.51, 6 Er 3.58
Dy 0.6667 0.3333 0.5000  6 Er 3.51, 6 Dy 3.58

=====

Record 3
This record from the Materials Project database describes a relaxed structure of Tl3Mo15Se19. The functional is PBE-GGA.

abc: 19.7659 9.9567 10.0601
angles: 60.77 90.00 90.00
Last column: nearest neighbours and their distance in Å.
Fractional positions:
Mo 0.0574 0.9868 0.1587  5 Se 2.58-2.75, 4 Mo 2.68-2.73
Mo 0.4426 0.9868 0.1587  5 Se 2.58-2.75, 4 Mo 2.68-2.73
Mo 0.3644 0.8095 0.6862  5 Se 2.57-2.74, 4 Mo 2.64-2.82
Mo 0.4453 0.8503 0.9857  5 Se 2.55-2.74, 4 Mo 2.68-2.72
Mo 0.7500 0.3350 0.1740  4 Se 2.59, 6 Mo 2.68-2.82
Mo 0.3649 0.6766 0.5104  5 Se 2.55-2.75, 4 Mo 2.65-2.76
Mo 0.1356 0.8095 0.6862  5 Se 2.57-2.74, 4 Mo 2.64-2.82
Mo 0.0562 0.1632 0.8524  5 Se 2.52-2.75, 4 Mo 2.70-2.73
Mo 0.5562 0.8368 0.1476  5 Se 2.52-2.75, 4 Mo 2.70-2.73
Mo 0.7500 0.1640 0.4917  4 Se 2.59-2.69, 6 Mo 2.76-2.82
Mo 0.1344 0.5070 0.8117  5 Se 2.52-2.74, 4 Mo 2.64-2.82
Mo 0.2500 0.5171 0.6559  4 Se 2.58-2.61, 6 Mo 2.74-2.77
Mo 0.9438 0.8368 0.1476  5 Se 2.52-2.75, 4 Mo 2.70-2.73
Mo 0.7500 0.4829 0.3441  4 Se 2.58-2.61, 6 Mo 2.74-2.77
Mo 0.0547 0.8503 0.9857  5 Se 2.55-2.74, 4 Mo 2.68-2.72
Mo 0.5547 0.1497 0.0143  5 Se 2.55-2.74, 4 Mo 2.68-2.72
Mo 0.8644 0.1905 0.3138  5 Se 2.57-2.74, 4 Mo 2.64-2.82
Mo 0.9453 0.1497 0.0143  5 Se 2.55-2.74, 4 Mo 2.68-2.72
Mo 0.8649 0.3234 0.4896  5 Se 2.55-2.75, 4 Mo 2.65-2.76
Mo 0.9426 0.0132 0.8413  5 Se 2.58-2.75, 4 Mo 2.68-2.73
Mo 0.3656 0.5070 0.8117  5 Se 2.52-2.74, 4 Mo 2.64-2.82
Mo 0.5574 0.0132 0.8413  5 Se 2.58-2.75, 4 Mo 2.68-2.73
Mo 0.6344 0.4930 0.1883  5 Se 2.52-2.74, 4 Mo 2.64-2.82
Mo 0.4438 0.1632 0.8524  5 Se 2.52-2.75, 4 Mo 2.70-2.73
Mo 0.2500 0.6650 0.8260  4 Se 2.59, 6 Mo 2.68-2.82
Mo 0.8656 0.4930 0.1883  5 Se 2.52-2.74, 4 Mo 2.64-2.82
Mo 0.1351 0.6766 0.5104  5 Se 2.55-2.75, 4 Mo 2.65-2.76
Mo 0.6355 0.1905 0.3138  5 Se 2.57-2.74, 4 Mo 2.64-2.82
Mo 0.6351 0.3234 0.4896  5 Se 2.55-2.75, 4 Mo 2.65-2.76
Mo 0.2500 0.8360 0.5083  4 Se 2.59-2.69, 6 Mo 2.76-2.82
Se 0.6311 0.0224 0.6052  4 Mo 2.57-2.75
Se 0.7500 0.6322 0.0504  4 Mo 2.58-2.68, 1 Tl 2.87
Se 0.1421 0.3760 0.6380  4 Mo 2.61-2.75
Se 0.5543 0.7138 0.9687  4 Mo 2.60-2.74
Se 0.9472 0.3127 0.7150  4 Mo 2.60-2.75
Se 0.6425 0.3627 0.0146  4 Mo 2.59-2.74
Se 0.8579 0.6240 0.3620  4 Mo 2.61-2.75
Se 0.2500 0.9626 0.6805  4 Mo 2.59-2.71
Se 0.0497 0.0249 0.6887  4 Mo 2.58-2.74
Se 0.9457 0.7138 0.9687  4 Mo 2.60-2.74
Se 0.5497 0.9751 0.3113  4 Mo 2.58-2.74
Se 0.0543 0.2862 0.0313  4 Mo 2.60-2.74
Se 0.6588 0.9980 0.0152  3 Mo 2.52-2.62
Se 0.3575 0.6373 0.9854  4 Mo 2.59-2.74
Se 0.5528 0.3127 0.7150  4 Mo 2.60-2.75
Se 0.7500 0.3230 0.6376  4 Mo 2.58-2.72
Se 0.1588 0.0020 0.9848  3 Mo 2.52-2.62
Se 0.2500 0.6770 0.3624  4 Mo 2.58-2.72
Se 0.4503 0.0249 0.6887  4 Mo 2.58-2.74
Se 0.8412 0.9980 0.0152  3 Mo 2.52-2.62
Se 0.4472 0.6873 0.2850  4 Mo 2.60-2.75
Se 0.0528 0.6873 0.2850  4 Mo 2.60-2.75
Se 0.1311 0.9776 0.3948  4 Mo 2.57-2.75
Se 0.9680 0.3378 0.3308  3 Mo 2.52-2.57
Se 0.3689 0.9776 0.3948  4 Mo 2.57-2.75
Se 0.3412 0.0020 0.9848  3 Mo 2.52-2.62
Se 0.4680 0.6622 0.6692  3 Mo 2.52-2.57
Se 0.6421 0.6240 0.3620  4 Mo 2.61-2.75
Se 0.8689 0.0224 0.6052  4 Mo 2.57-2.75
Se 0.3579 0.3760 0.6380  4 Mo 2.61-2.75
Se 0.7500 0.0374 0.3195  4 Mo 2.59-2.71
Se 0.4457 0.2862 0.0313  4 Mo 2.60-2.74
Se 0.8575 0.3627 0.0146  4 Mo 2.59-2.74
Se 0.1425 0.6373 0.9854  4 Mo 2.59-2.74
Se 0.5320 0.3378 0.3308  3 Mo 2.52-2.57
Se 0.9503 0.9751 0.3113  4 Mo 2.58-2.74
Se 0.2500 0.3678 0.9496  4 Mo 2.58-2.68, 1 Tl 2.87
Se 0.0320 0.6622 0.6692  3 Mo 2.52-2.57
Tl 0.7500 0.9493 0.8189  5 Se 2.87-3.03, 1 Mo 2.92
Tl 0.8725 0.6603 0.6659  4 Se 3.15-3.35
Tl 0.2500 0.0507 0.1811  5 Se 2.87-3.03, 1 Mo 2.92
Tl 0.6275 0.6603 0.6659  4 Se 3.15-3.35
Tl 0.1275 0.3397 0.3341  4 Se 3.15-3.35
Tl 0.3725 0.3397 0.3341  4 Se 3.15-3.35

Properties
For the size of the total moment, the calculation gives 0.11 μB per cell.

=====

| no. | DFT formation energy (eV/atom) |
| --- | --- |
| 1 | -0.46 |
| 2 | 0.01 |
| 3 | -0.74 |